Below is an optimized crystal structure of CaZn, with properties calculated at the GGA-PBE level.

Results
Spin magnetization (μB per atom): 0.00
SG: Fm-3m
DFT total energy (eV per atom): -1.699
ΔE_f (meV/atom): -67

Cell lengths 4.368, 4.368, 4.368 Å; angles 60.00, 60.00, 60.00 degrees
Sites, in units of the cell vectors:
Ca 0.000 0.000 0.000
Zn 0.500 0.500 0.500



Below is an optimized crystal structure of CaZn3, with properties calculated at the GGA-PBE level.

Results
Spin magnetization (μB per atom): 0.00
SG: I4/mmm
DFT total energy (eV per atom): -1.589
ΔE_f (meV/atom): -143

Cell lengths 4.695, 4.695, 4.695 Å; angles 116.15, 116.15, 96.82 degrees
Sites, in units of the cell vectors:
Zn 0.500 0.500 0.000
Ca 0.000 0.000 0.000
Zn 0.250 0.750 0.500
Zn 0.750 0.250 0.500



Below is an optimized crystal structure of Cd, with properties calculated at the GGA-PBE level.

Results
SG: Fm-3m
DFT total energy (eV per atom): -0.923
ΔE_f (meV/atom): 0

Cell lengths 3.204, 3.204, 3.204 Å; angles 60.00, 60.00, 60.00 degrees
Sites, in units of the cell vectors:
Cd 0.000 0.000 0.000



Below is an optimized crystal structure of Cd, with properties calculated at the GGA-PBE level.

Results
Spin magnetization (μB per atom): 0.00
SG: Im-3m
DFT total energy (eV per atom): -0.858
ΔE_f (meV/atom): 65

Cell lengths 3.091, 3.091, 3.091 Å; angles 109.47, 109.47, 109.47 degrees
Sites, in units of the cell vectors:
Cd 0.000 0.000 0.000



Below is an optimized crystal structure of Cd, with properties calculated at the GGA-PBE level.

Results
SG: P6_3/mmc
DFT total energy (eV per atom): -0.888
ΔE_f (meV/atom): 34

Cell lengths 3.291, 3.291, 9.668 Å; angles 90.00, 90.00, 120.00 degrees
Sites, in units of the cell vectors:
Cd 0.667 0.333 0.750
Cd 0.000 0.000 0.000
Cd 0.000 0.000 0.500
Cd 0.333 0.667 0.250



Below is an optimized crystal structure of Cd, with properties calculated at the GGA-PBE level.

Results
SG: P6_3/mmc
DFT total energy (eV per atom): -0.909
ΔE_f (meV/atom): 14

Cell lengths 3.008, 3.008, 5.942 Å; angles 90.00, 90.00, 120.00 degrees
Sites, in units of the cell vectors:
Cd 0.667 0.333 0.750
Cd 0.333 0.667 0.250



Below is an optimized crystal structure of Cd, with properties calculated at the GGA-PBE level.

Results
SG: R-3m
DFT total energy (eV per atom): -0.905
ΔE_f (meV/atom): 18

Cell lengths 3.110, 3.110, 3.110 Å; angles 63.80, 63.80, 63.80 degrees
Sites, in units of the cell vectors:
Cd 0.000 0.000 0.000



Below is an optimized crystal structure of CeCd, with properties calculated at the GGA-PBE level.

Results
Spin magnetization (μB per atom): 0.66
SG: P4/mmm
DFT total energy (eV per atom): -3.546
ΔE_f (meV/atom): -118

Cell lengths 3.912, 3.912, 3.730 Å; angles 90.00, 90.00, 90.00 degrees
Sites, in units of the cell vectors:
Cd 0.000 0.000 0.000
Ce 0.500 0.500 0.500



> What is the DFT total energy in the eighth record?

-3.546 eV per atom



> DFT total energy of number 2 (CaZn3)?

-1.589 eV per atom



> Which of these has the highest DFT total energy?

number 4